No. 1
This record from the Materials Project database describes a geometry-optimized Ho2Fe5Co12 structure. The functional is PBE.

Cell: 8.3536 8.3536 8.1194 Å, 90.00 90.00 120.00°
Space group P6_3/mmc (No. 194)
Symmetry-distinct sites (fractional):
Ho  0.0000  0.0000  0.2500
Ho  0.3333  0.6667  0.2500
Fe  0.0000  0.5000  0.0000
Fe  0.3333  0.6667  0.6063
Co  0.0457  0.3725  0.7500
Co  0.1640  0.3280  0.0175

## Properties
As for the formation energy: -0.106 eV per atom. The value obtained for the size of the total moment is 29.76 μB/f.u. For the uncorrected energy, the calculation gives -277.7 eV/cell.

---

No. 2
This record from the Materials Project database describes a geometry-optimized HoTiFe8Co3 structure. The functional is PBE.

Cell: 4.7234 8.4623 8.4006 Å, 90.00 90.00 90.00°
Space group Imm2 (No. 44)
Symmetry-distinct sites (fractional):
Ho  0.0000  0.0000  0.0000
Ti  0.0000  0.0000  0.3796
Fe  0.0000  0.2804  0.5056
Fe  0.0000  0.5000  0.2758
Fe  0.0000  0.5000  0.7263
Fe  0.2505  0.2485  0.7537
Co  0.0000  0.0000  0.6546
Co  0.0000  0.3589  0.0029

## Properties
As for the formation energy: -0.105 eV per atom. The value obtained for the size of the total moment is 20.03 μB/f.u. For the uncorrected energy, the calculation gives -205.9 eV/cell.

---

No. 3
This record from the Materials Project database describes a geometry-optimized Mn3FeCo2P3 structure. The functional is PBE.

Cell: 5.8316 3.4959 20.0592 Å, 90.00 90.06 90.00°
Space group Pm (No. 6)
Symmetry-distinct sites (fractional):
Mn  0.0000  0.0000  0.0000
Mn  0.9998  0.0000  0.3330
Mn  0.9997  0.0000  0.6665
Mn  0.4441  0.5000  0.1667
Mn  0.4454  0.5000  0.4998
Mn  0.4454  0.5000  0.8333
Mn  0.4998  0.0000  0.0539
Mn  0.4998  0.0000  0.3876
Mn  0.4996  0.0000  0.7209
Mn  0.9438  0.5000  0.8872
Mn  0.9447  0.5000  0.2207
Mn  0.9445  0.5000  0.5541
Fe  0.3270  0.5000  0.9642
Fe  0.3275  0.5000  0.2978
Fe  0.3277  0.5000  0.6311
Fe  0.8273  0.5000  0.0898
Co  0.1172  0.0000  0.4652
Co  0.1176  0.0000  0.7986
Co  0.1203  0.0000  0.1322
Co  0.6194  0.0000  0.2550
Co  0.6189  0.0000  0.5885
Co  0.6199  0.0000  0.9219
Co  0.8288  0.5000  0.4221
Co  0.8287  0.5000  0.7555
P  0.2032  0.5000  0.0677
P  0.2061  0.5000  0.4012
P  0.2060  0.5000  0.7345
P  0.2401  0.0000  0.2356
P  0.2400  0.0000  0.5689
P  0.2404  0.0000  0.9023
P  0.7030  0.5000  0.9863
P  0.7041  0.5000  0.3187
P  0.7041  0.5000  0.6521
P  0.7392  0.0000  0.4855
P  0.7394  0.0000  0.8187
P  0.7408  0.0000  0.1516

## Properties
As for the formation energy: -0.612 eV per atom. The value obtained for the size of the total moment is 8.72 μB/f.u. For the uncorrected energy, the calculation gives -287.7 eV/cell.

---

No. 4
This record from the Materials Project database describes a geometry-optimized YFe5Co5Mo2 structure. The functional is PBE.

Cell: 4.6919 6.4518 6.4705 Å, 82.59 68.76 69.17°
Space group P-1 (No. 2)
Symmetry-distinct sites (fractional):
Y  0.0000  0.0000  0.0000
Fe  0.0000  0.0000  0.5000
Fe  0.0002  0.3586  0.6431
Fe  0.5000  0.0000  0.5000
Fe  0.5000  0.5000  0.0000
Co  0.0000  0.5000  0.0000
Co  0.2764  0.2242  0.2233
Co  0.4991  0.7809  0.2198
Mo  0.3558  0.6421  0.6440

## Properties
As for the formation energy: -0.041 eV per atom. The value obtained for the size of the total moment is 15.78 μB/f.u. For the uncorrected energy, the calculation gives -106.6 eV/cell.

---

No. 5
This record from the Materials Project database describes a geometry-optimized FeCo10N8 structure. The functional is PBE.

Cell: 13.9147 3.9520 6.3789 Å, 90.00 106.40 90.00°
Space group C2/m (No. 12)
Symmetry-distinct sites (fractional):
Fe  0.0000  0.0000  0.0000
Co  0.0436  0.5000  0.7015
Co  0.0983  0.0000  0.4928
Co  0.1346  0.5000  0.1788
Co  0.1768  0.0000  0.9377
Co  0.2239  0.5000  0.6724
N  0.0422  0.0000  0.7377
N  0.1030  0.5000  0.4506
N  0.1367  0.0000  0.2109
N  0.1787  0.5000  0.9214

## Properties
As for the formation energy: 0.119 eV per atom. The value obtained for the size of the total moment is 1.00 μB/f.u. For the uncorrected energy, the calculation gives -282.2 eV/cell.

---

No. 6
This record from the Materials Project database describes a geometry-optimized Fe10CoN8 structure. The functional is PBE.

Cell: 17.1714 3.7883 6.0175 Å, 90.00 109.88 90.00°
Space group C2/m (No. 12)
Symmetry-distinct sites (fractional):
Fe  0.0173  0.0000  0.2836
Fe  0.0742  0.5000  0.6613
Fe  0.1517  0.5000  0.2920
Fe  0.1777  0.0000  0.6357
Fe  0.1979  0.0000  0.0767
Co  0.0000  0.5000  0.0000
N  0.0371  0.5000  0.3177
N  0.1026  0.0000  0.7915
N  0.1416  0.0000  0.3111
N  0.2255  0.5000  0.1213

## Properties
As for the formation energy: 0.013 eV per atom. The value obtained for the size of the total moment is 10.56 μB/f.u. For the uncorrected energy, the calculation gives -310.7 eV/cell.

---

No. 7
This record from the Materials Project database describes a geometry-optimized Fe2Co3N4 structure. The functional is PBE.

Cell: 8.7048 6.7671 5.5106 Å, 90.00 94.39 90.00°
Space group C2/c (No. 15)
Symmetry-distinct sites (fractional):
Fe  0.1936  0.1410  0.3382
Co  0.0000  0.1464  0.7500
Co  0.1207  0.3979  0.0030
N  0.0973  0.3195  0.5354
N  0.1600  0.0953  0.0105

## Properties
As for the formation energy: 0.036 eV per atom. The value obtained for the size of the total moment is 0.04 μB/f.u. For the uncorrected energy, the calculation gives -279.4 eV/cell.

---

No. 8
This record from the Materials Project database describes a geometry-optimized Fe2Co9N8 structure. The functional is PBE.

Cell: 16.9421 3.7735 6.0016 Å, 90.00 109.83 90.00°
Space group C2/m (No. 12)
Symmetry-distinct sites (fractional):
Fe  0.1762  0.0000  0.1391
Co  0.0000  0.5000  0.5000
Co  0.0166  0.0000  0.7770
Co  0.0742  0.5000  0.1563
Co  0.1571  0.5000  0.8133
Co  0.1943  0.0000  0.5816
N  0.0391  0.5000  0.8200
N  0.1006  0.0000  0.2911
N  0.1394  0.0000  0.8184
N  0.2258  0.5000  0.6270

## Properties
As for the formation energy: 0.116 eV per atom. The value obtained for the size of the total moment is 1.14 μB/f.u. For the uncorrected energy, the calculation gives -285.0 eV/cell.

---

No. 9
This record from the Materials Project database describes a geometry-optimized Nb2FeCo3 structure. The functional is PBE.

Cell: 4.8020 4.8020 7.6806 Å, 90.00 90.00 120.00°
Space group P6_3/mmc (No. 194)
Symmetry-distinct sites (fractional):
Nb  0.3333  0.6667  0.0637
Fe  0.0000  0.0000  0.0000
Co  0.1693  0.3385  0.7500

## Properties
As for the formation energy: -0.154 eV per atom. The value obtained for the size of the total moment is 2.52 μB/f.u. For the uncorrected energy, the calculation gives -101.8 eV/cell.

---

No. 10
This record from the Materials Project database describes a geometry-optimized Nd2Fe3CoSi4 structure. The functional is PBE.

Cell: 3.9955 3.9955 9.7703 Å, 90.00 90.00 90.00°
Space group P-4m2 (No. 115)
Symmetry-distinct sites (fractional):
Nd  0.0000  0.5000  0.2495
Fe  0.0000  0.0000  0.0000
Fe  0.5000  0.5000  0.0000
Fe  0.5000  0.5000  0.5000
Co  0.0000  0.0000  0.5000
Si  0.0000  0.5000  0.6134
Si  0.0000  0.5000  0.8882

## Properties
As for the formation energy: -0.635 eV per atom. The value obtained for the size of the total moment is 0.52 μB/f.u. For the uncorrected energy, the calculation gives -70.4 eV/cell.

---

No. 11
This record from the Materials Project database describes a geometry-optimized NdFeCoSi2 structure. The functional is PBE.

Cell: 3.9854 3.9854 9.8101 Å, 90.00 90.00 90.00°
Space group I-4m2 (No. 119)
Symmetry-distinct sites (fractional):
Nd  0.0000  0.0000  0.0000
Fe  0.0000  0.5000  0.2500
Co  0.0000  0.5000  0.7500
Si  0.0000  0.0000  0.3636

## Properties
As for the formation energy: -0.678 eV per atom. The value obtained for the size of the total moment is 0.00 μB/f.u. For the uncorrected energy, the calculation gives -69.5 eV/cell.

---

No. 12
This record from the Materials Project database describes a geometry-optimized FeCo16NiS16 structure. The functional is PBE.

Cell: 6.9636 6.9636 9.8442 Å, 90.00 90.00 90.00°
Space group P4/mmm (No. 123)
Symmetry-distinct sites (fractional):
Fe  0.0000  0.0000  0.0000
Co  0.0000  0.2531  0.3726
Co  0.2483  0.5000  0.1252
Ni  0.5000  0.5000  0.5000
S  0.0000  0.0000  0.2361
S  0.0000  0.5000  0.2477
S  0.2369  0.2369  0.0000
S  0.2573  0.2573  0.5000
S  0.5000  0.5000  0.2574

## Properties
As for the formation energy: -0.708 eV per atom. The value obtained for the size of the total moment is 0.00 μB/f.u. For the uncorrected energy, the calculation gives -210.2 eV/cell.

---

> The lowest uncorrected energy belongs to which entry?

Fe10CoN8

---

> What is the formula in the seventh record?

Fe2Co3N4

---

> size of the total moment of number 2 (HoTiFe8Co3)?

20.03 μB/f.u.